No. 1
EuCu2Ge2 | PBE-GGA | relaxed Values from VASP.

Calculated values
calculated total energy	-5.98	eV per atom
energy of formation	-0.436	eV per atom

Quantum ESPRESSO input file:
```
&SYSTEM
  ibrav = 0, nat = 5, ntyp = 3
/
ATOMIC_SPECIES
Eu 151.96 Eu.upf
Cu 63.55 Cu.upf
Ge 72.64 Ge.upf
CELL_PARAMETERS angstrom
-2.097 2.097 5.140
2.097 -2.097 5.140
2.097 2.097 -5.140
ATOMIC_POSITIONS angstrom
Eu 0.000 0.000 0.000
Cu 2.097 0.000 2.570
Cu 0.000 2.097 2.570
Ge 0.000 0.000 3.872
Ge 0.000 0.000 6.408
```

No. 2
Eu2CuGe2O8 | PBE-GGA | relaxed Values from VASP.

Calculated values
calculated total energy	-7.64	eV per atom
energy of formation	-2.415	eV per atom

Quantum ESPRESSO input file:
```
&SYSTEM
  ibrav = 0, nat = 26, ntyp = 4
/
ATOMIC_SPECIES
Eu 151.96 Eu.upf
Cu 63.55 Cu.upf
Ge 72.64 Ge.upf
O 16.00 O.upf
CELL_PARAMETERS angstrom
5.064 -7.631 0.000
5.064 7.631 0.000
-2.538 0.000 4.567
ATOMIC_POSITIONS angstrom
Eu 5.064 5.796 0.000
Eu 3.826 1.843 2.205
Eu 3.826 -1.843 2.205
Eu 5.064 -5.796 0.000
Cu 6.735 3.153 0.772
Cu 6.735 -3.153 0.772
Ge 0.809 3.222 3.314
Ge 0.461 0.000 3.633
Ge 0.809 -3.222 3.314
Ge 7.048 0.000 0.729
O 2.329 2.740 0.223
O -1.300 0.000 3.774
O 0.999 1.423 2.648
O 2.544 3.575 3.387
O 0.999 -1.423 2.648
O 5.205 3.886 1.696
O 3.696 0.000 0.689
O 2.329 -2.740 0.223
O 3.846 0.000 3.651
O 5.377 2.601 4.044
O 6.450 1.463 1.632
O 2.544 -3.575 3.387
O 6.450 -1.463 1.632
O 5.205 -3.886 1.696
O 8.814 0.000 0.652
O 5.377 -2.601 4.044
```

No. 3
Eu2CuGe4O12 | PBE-GGA | relaxed Values from VASP.

Calculated values
calculated total energy	-7.25	eV per atom
energy of formation	-2.287	eV per atom

Quantum ESPRESSO input file:
```
&SYSTEM
  ibrav = 0, nat = 19, ntyp = 4
/
ATOMIC_SPECIES
Eu 151.96 Eu.upf
Cu 63.55 Cu.upf
Ge 72.64 Ge.upf
O 16.00 O.upf
CELL_PARAMETERS angstrom
4.965 0.000 0.000
1.752 7.203 0.000
0.553 3.336 7.483
ATOMIC_POSITIONS angstrom
Eu 0.920 3.456 3.409
Eu 6.349 7.083 4.074
Cu 0.876 3.601 0.000
Ge 4.092 9.014 5.984
Ge 3.571 5.570 1.604
Ge 3.699 4.969 5.879
Ge 3.178 1.524 1.499
O 3.089 8.665 4.604
O 2.384 5.342 2.862
O 2.528 6.283 6.042
O 1.817 2.644 1.380
O 2.693 5.776 0.060
O 2.791 3.479 5.434
O 4.478 7.059 2.049
O 4.577 4.762 7.423
O 5.453 7.895 6.103
O 4.741 4.255 1.441
O 4.885 5.196 4.621
O 4.180 1.873 2.879
```